# Li2SnF6 (PBE-GGA, optimized geometry)
# * calculated total energy: -43.794 eV/f.u.
# * ΔH_f (0 K): -3.028 eV/atom
data_Li2SnF6
_chemical_formula_sum 'Li2 Sn1 F6'
_cell_length_a 5.0301
_cell_length_b 5.0301
_cell_length_c 4.6322
_cell_angle_alpha 90.00
_cell_angle_beta 90.00
_cell_angle_gamma 120.00
_space_group_name_H-M_alt 'P -3 1 m'
_space_group_IT_number 162
_space_group_name_Hall '-P 3 2'
loop_
_atom_site_label
_atom_site_type_symbol
_atom_site_fract_x
_atom_site_fract_y
_atom_site_fract_z
Li1 Li 0.3333 0.6667 0.0000
Sn1 Sn 0.0000 0.0000 0.5000
F1 F 0.0000 0.3252 0.2471